No. 1
DFT (PBE-GGA) results for a geometry-optimized CdSiN2 structure.

Results
space group	Pbca
energy of formation	-0.67	eV/atom
volume	784.6	Å³/cell

Unit cell a=5.3134 b=10.6437 c=13.8730 alpha=90.00 beta=90.00 gamma=90.00
Last column: nearest neighbours and their distance in Å.
Sites, in units of the cell vectors:
1 Cd 0.7267 0.9777 0.4386  4 N 2.25-2.41
2 Cd 0.2267 0.5223 0.5614  4 N 2.25-2.41
3 Cd 0.2733 0.4777 0.0614  4 N 2.25-2.41
4 Cd 0.7733 0.0223 0.9386  4 N 2.25-2.41
5 Cd 0.2733 0.0223 0.5614  4 N 2.25-2.41
6 Cd 0.7733 0.4777 0.4386  4 N 2.25-2.41
7 Cd 0.7267 0.5223 0.9386  4 N 2.25-2.41
8 Cd 0.2267 0.9777 0.0614  4 N 2.25-2.41
9 Cd 0.7913 0.2558 0.3120  3 N 2.26-2.35
10 Cd 0.2913 0.2442 0.6880  3 N 2.26-2.35
11 Cd 0.2087 0.7558 0.1880  3 N 2.26-2.35
12 Cd 0.7087 0.7442 0.8120  3 N 2.26-2.35
13 Cd 0.2087 0.7442 0.6880  3 N 2.26-2.35
14 Cd 0.7087 0.7558 0.3120  3 N 2.26-2.35
15 Cd 0.7913 0.2442 0.8120  3 N 2.26-2.35
16 Cd 0.2913 0.2558 0.1880  3 N 2.26-2.35
17 Si 0.6904 0.0221 0.1874  4 N 1.75-1.77
18 Si 0.1904 0.4779 0.8126  4 N 1.75-1.77
19 Si 0.3096 0.5221 0.3126  4 N 1.75-1.77
20 Si 0.8096 0.9779 0.6874  4 N 1.75-1.77
21 Si 0.3096 0.9779 0.8126  4 N 1.75-1.77
22 Si 0.8096 0.5221 0.1874  4 N 1.75-1.77
23 Si 0.6904 0.4779 0.6874  4 N 1.75-1.77
24 Si 0.1904 0.0221 0.3126  4 N 1.75-1.77
25 Si 0.7872 0.2772 0.0618  4 N 1.75-1.76
26 Si 0.2872 0.2228 0.9382  4 N 1.75-1.76
27 Si 0.2128 0.7772 0.4382  4 N 1.75-1.76
28 Si 0.7128 0.7228 0.5618  4 N 1.75-1.76
29 Si 0.2128 0.7228 0.9382  4 N 1.75-1.76
30 Si 0.7128 0.7772 0.0618  4 N 1.75-1.76
31 Si 0.7872 0.2228 0.5618  4 N 1.75-1.76
32 Si 0.2872 0.2772 0.4382  4 N 1.75-1.76
33 N 0.6237 0.4834 0.2871  2 Si 1.75
34 N 0.1237 0.0166 0.7129  2 Si 1.75
35 N 0.3763 0.9834 0.2129  2 Si 1.75
36 N 0.8763 0.5166 0.7871  2 Si 1.75
37 N 0.3763 0.5166 0.7129  2 Si 1.75
38 N 0.8763 0.9834 0.2871  2 Si 1.75
39 N 0.6237 0.0166 0.7871  2 Si 1.75
40 N 0.1237 0.4834 0.2129  2 Si 1.75
41 N 0.6135 0.2674 0.4604  2 Si 1.75-1.76
42 N 0.1135 0.2326 0.5396  2 Si 1.75-1.76
43 N 0.3865 0.7674 0.0396  2 Si 1.75-1.76
44 N 0.8865 0.7326 0.9604  2 Si 1.75-1.76
45 N 0.3865 0.7326 0.5396  2 Si 1.75-1.76
46 N 0.8865 0.7674 0.4604  2 Si 1.75-1.76
47 N 0.6135 0.2326 0.9604  2 Si 1.75-1.76
48 N 0.1135 0.2674 0.0396  2 Si 1.75-1.76
49 N 0.7113 0.4354 0.0864  2 Si 1.76
50 N 0.2113 0.0646 0.9136  2 Si 1.76
51 N 0.2887 0.9354 0.4136  2 Si 1.76
52 N 0.7887 0.5646 0.5864  2 Si 1.76
53 N 0.2887 0.5646 0.9136  2 Si 1.76
54 N 0.7887 0.9354 0.0864  2 Si 1.76
55 N 0.7113 0.0646 0.5864  2 Si 1.76
56 N 0.2113 0.4354 0.4136  2 Si 1.76
57 N 0.7048 0.1851 0.1623  2 Si 1.76-1.77
58 N 0.2048 0.3149 0.8377  2 Si 1.76-1.77
59 N 0.2952 0.6851 0.3377  2 Si 1.76-1.77
60 N 0.7952 0.8149 0.6623  2 Si 1.76-1.77
61 N 0.2952 0.8149 0.8377  2 Si 1.76-1.77
62 N 0.7952 0.6851 0.1623  2 Si 1.76-1.77
63 N 0.7048 0.3149 0.6623  2 Si 1.76-1.77
64 N 0.2048 0.1851 0.3377  2 Si 1.76-1.77

---

No. 2
DFT (PBE-GGA) results for a geometry-optimized Cd7SnN6 structure.

Results
space group	Pbcn
energy of formation	0.39	eV/atom
volume	953.3	Å³/cell

Unit cell a=12.0742 b=6.4985 c=12.1496 alpha=90.00 beta=90.00 gamma=90.00
Last column: nearest neighbours and their distance in Å.
Sites, in units of the cell vectors:
1 Cd 0.0284 0.7265 0.9969  3 N 2.20-2.33
2 Cd 0.4716 0.7735 0.4969  3 N 2.20-2.33
3 Cd 0.5284 0.7735 0.0031  3 N 2.20-2.33
4 Cd 0.9716 0.7265 0.5031  3 N 2.20-2.33
5 Cd 0.9716 0.2735 0.0031  3 N 2.20-2.33
6 Cd 0.5284 0.2265 0.5031  3 N 2.20-2.33
7 Cd 0.4716 0.2265 0.9969  3 N 2.20-2.33
8 Cd 0.0284 0.2735 0.4969  3 N 2.20-2.33
9 Cd 0.2243 0.7359 0.6809  3 N 2.20-2.31
10 Cd 0.2757 0.7641 0.1809  3 N 2.20-2.31
11 Cd 0.7243 0.7641 0.3191  3 N 2.20-2.31
12 Cd 0.7757 0.7359 0.8191  3 N 2.20-2.31
13 Cd 0.7757 0.2641 0.3191  3 N 2.20-2.31
14 Cd 0.7243 0.2359 0.8191  3 N 2.20-2.31
15 Cd 0.2757 0.2359 0.6809  3 N 2.20-2.31
16 Cd 0.2243 0.2641 0.1809  3 N 2.20-2.31
17 Cd 0.2730 0.5139 0.9398  3 N 2.21-2.42
18 Cd 0.2270 0.9861 0.4398  3 N 2.21-2.42
19 Cd 0.7730 0.9861 0.0602  3 N 2.21-2.42
20 Cd 0.7270 0.5139 0.5602  3 N 2.21-2.42
21 Cd 0.7270 0.4861 0.0602  3 N 2.21-2.42
22 Cd 0.7730 0.0139 0.5602  3 N 2.21-2.42
23 Cd 0.2270 0.0139 0.9398  3 N 2.21-2.42
24 Cd 0.2730 0.4861 0.4398  3 N 2.21-2.42
25 Cd 0.0000 0.5100 0.7500  4 N 2.33-2.48
26 Cd 0.5000 0.9900 0.2500  4 N 2.33-2.48
27 Cd 0.0000 0.4900 0.2500  4 N 2.33-2.48
28 Cd 0.5000 0.0100 0.7500  4 N 2.33-2.48
29 Sn 0.0000 0.0198 0.7500  4 N 2.09-2.13
30 Sn 0.5000 0.4802 0.2500  4 N 2.09-2.13
31 Sn 0.0000 0.9802 0.2500  4 N 2.09-2.13
32 Sn 0.5000 0.5198 0.7500  4 N 2.09-2.13
33 N 0.1073 0.8028 0.8266  1 Sn 2.13, 2 Cd 2.31-2.33
34 N 0.3927 0.6972 0.3266  1 Sn 2.13, 2 Cd 2.31-2.33
35 N 0.6073 0.6972 0.1734  1 Sn 2.13, 2 Cd 2.31-2.33
36 N 0.8927 0.8028 0.6734  1 Sn 2.13, 2 Cd 2.31-2.33
37 N 0.8927 0.1972 0.1734  1 Sn 2.13, 2 Cd 2.31-2.33
38 N 0.6073 0.3028 0.6734  1 Sn 2.13, 2 Cd 2.31-2.33
39 N 0.3927 0.3028 0.8266  1 Sn 2.13, 2 Cd 2.31-2.33
40 N 0.1073 0.1972 0.3266  1 Sn 2.13, 2 Cd 2.31-2.33
41 N 0.1533 0.7052 0.5111  4 Cd 2.20-2.24
42 N 0.3467 0.7948 0.0111  4 Cd 2.20-2.24
43 N 0.6533 0.7948 0.4889  4 Cd 2.20-2.24
44 N 0.8467 0.7052 0.9889  4 Cd 2.20-2.24
45 N 0.8467 0.2948 0.4889  4 Cd 2.20-2.24
46 N 0.6533 0.2052 0.9889  4 Cd 2.20-2.24
47 N 0.3467 0.2052 0.5111  4 Cd 2.20-2.24
48 N 0.1533 0.2948 0.0111  4 Cd 2.20-2.24
49 N 0.4061 0.7396 0.6658  1 Sn 2.09, 3 Cd 2.20-2.33
50 N 0.0939 0.7604 0.1658  1 Sn 2.09, 3 Cd 2.20-2.33
51 N 0.9061 0.7604 0.3342  1 Sn 2.09, 3 Cd 2.20-2.33
52 N 0.5939 0.7396 0.8342  1 Sn 2.09, 3 Cd 2.20-2.33
53 N 0.5939 0.2604 0.3342  1 Sn 2.09, 3 Cd 2.20-2.33
54 N 0.9061 0.2396 0.8342  1 Sn 2.09, 3 Cd 2.20-2.33
55 N 0.0939 0.2396 0.6658  1 Sn 2.09, 3 Cd 2.20-2.33
56 N 0.4061 0.2604 0.1658  1 Sn 2.09, 3 Cd 2.20-2.33

---

No. 3
DFT (PBE-GGA) results for a geometry-optimized Sr2CdN2 structure.

Results
space group	I4/mmm
energy of formation	-0.53	eV/atom
volume	104.3	Å³/cell

Unit cell a=3.8888 b=5.4992 c=7.4224 alpha=90.00 beta=105.18 gamma=135.00
Last column: nearest neighbours and their distance in Å.
Sites, in units of the cell vectors:
1 Sr 0.6701 0.3351 0.1703  5 N 2.54-2.76
2 Sr 0.3299 0.6649 0.8297  5 N 2.54-2.76
3 Cd 0.0000 0.0000 0.5000  2 N 2.08
4 N 0.3021 0.1510 0.8016  1 Cd 2.08
5 N 0.6979 0.8490 0.1984  1 Cd 2.08

---

No. 4
DFT (PBE-GGA) results for a geometry-optimized VCd4N4 structure.

Results
space group	P-1
energy of formation	-0.01	eV/atom
volume	274.3	Å³/cell

Unit cell a=5.8230 b=5.8238 c=9.4710 alpha=66.17 beta=90.65 gamma=71.16
Last column: nearest neighbours and their distance in Å.
Sites, in units of the cell vectors:
1 V 0.6673 0.8916 0.7752  4 N 1.83-1.88
2 V 0.3327 0.1084 0.2248  4 N 1.83-1.88
3 Cd 0.7836 0.5889 0.1953  4 N 2.25-2.50
4 Cd 0.2164 0.4111 0.8047  4 N 2.25-2.50
5 Cd 0.7584 0.2416 0.9998  4 N 2.32-2.38
6 Cd 0.2416 0.7584 0.0002  4 N 2.32-2.38
7 Cd 0.6838 0.5166 0.6180  4 N 2.33-2.51
8 Cd 0.3162 0.4834 0.3820  4 N 2.33-2.51
9 Cd 0.1363 0.0636 0.6183  4 N 2.33-2.51
10 Cd 0.8637 0.9364 0.3817  4 N 2.33-2.51
11 N 0.8964 0.7983 0.6554  1 V 1.85
12 N 0.1036 0.2017 0.3446  1 V 1.85
13 N 0.8193 0.8644 0.9547  1 V 1.83
14 N 0.1807 0.1356 0.0453  1 V 1.83
15 N 0.4823 0.6676 0.8145  1 V 1.88
16 N 0.5177 0.3324 0.1855  1 V 1.88
17 N 0.5453 0.7596 0.3447  1 V 1.85
18 N 0.4547 0.2404 0.6553  1 V 1.85

---

No. 5
DFT (PBE-GGA) results for a geometry-optimized VCd2N3 structure.

Results
space group	Cmc2_1
energy of formation	-0.30	eV/atom
volume	175.0	Å³/cell

Unit cell a=5.9992 b=6.0336 c=5.5926 alpha=90.00 beta=90.00 gamma=120.19
Last column: nearest neighbours and their distance in Å.
Sites, in units of the cell vectors:
1 V 0.0000 0.8435 0.9614  4 N 1.79-1.90
2 V 0.0000 0.1565 0.4614  4 N 1.79-1.90
3 Cd 0.3249 0.8332 0.4674  4 N 2.26-2.32
4 Cd 0.6751 0.5083 0.4674  4 N 2.26-2.32
5 Cd 0.6751 0.1668 0.9674  4 N 2.26-2.32
6 Cd 0.3249 0.4917 0.9674  4 N 2.26-2.32
7 N 0.2818 0.8332 0.8750  1 V 1.79
8 N 0.7182 0.5514 0.8750  1 V 1.79
9 N 0.7182 0.1668 0.3750  1 V 1.79
10 N 0.2818 0.4486 0.3750  1 V 1.79
11 N 0.0000 0.8840 0.2981  2 V 1.88-1.90
12 N 0.0000 0.1160 0.7981  2 V 1.88-1.90

---

No. 6
DFT (PBE-GGA) results for a geometry-optimized VCd2N3 structure.

Results
space group	Cmce
energy of formation	-0.15	eV/atom
volume	331.3	Å³/cell

Unit cell a=5.8956 b=10.2363 c=11.0606 alpha=90.00 beta=90.00 gamma=29.76
Last column: nearest neighbours and their distance in Å.
Sites, in units of the cell vectors:
1 V 0.0000 0.2527 0.8399  4 N 1.79-1.83
2 V 0.0000 0.7473 0.1601  4 N 1.79-1.83
3 V 0.0000 0.2473 0.3399  4 N 1.79-1.83
4 V 0.0000 0.7527 0.6601  4 N 1.79-1.83
5 Cd 0.0000 0.4595 0.6479  3 N 2.25-2.47
6 Cd 0.0000 0.5405 0.3521  3 N 2.25-2.47
7 Cd 0.0000 0.0405 0.1479  3 N 2.25-2.47
8 Cd 0.0000 0.9595 0.8521  3 N 2.25-2.47
9 Cd 0.0000 0.1364 0.5774  4 N 2.24-2.51
10 Cd 0.0000 0.8636 0.4226  4 N 2.24-2.51
11 Cd 0.0000 0.3636 0.0774  4 N 2.24-2.51
12 Cd 0.0000 0.6364 0.9226  4 N 2.24-2.51
13 N 0.0000 0.1593 0.9773  1 V 1.79
14 N 0.0000 0.8407 0.0227  1 V 1.79
15 N 0.0000 0.3407 0.4773  1 V 1.79
16 N 0.0000 0.6593 0.5227  1 V 1.79
17 N 0.0000 0.4304 0.8531  1 V 1.83
18 N 0.0000 0.5696 0.1469  1 V 1.83
19 N 0.0000 0.0696 0.3531  1 V 1.83
20 N 0.0000 0.9304 0.6469  1 V 1.83
21 N 0.5000 0.4559 0.7500  2 V 1.83
22 N 0.5000 0.0441 0.2500  2 V 1.83
23 N 0.5000 0.5441 0.2500  2 V 1.83
24 N 0.5000 0.9559 0.7500  2 V 1.83

---

No. 7
DFT (PBE-GGA) results for a geometry-optimized ZnCd2N2 structure.

Results
space group	C2/m
energy of formation	0.25	eV/atom
volume	87.6	Å³/cell

Unit cell a=3.9308 b=3.9430 c=7.9465 alpha=90.00 beta=119.53 gamma=120.10
Last column: nearest neighbours and their distance in Å.
Sites, in units of the cell vectors:
1 Zn 0.0000 0.0000 0.5000  2 N 1.86
2 Cd 0.8953 0.4476 0.1726  4 N 2.29-2.54
3 Cd 0.1047 0.5524 0.8274  4 N 2.29-2.54
4 N 0.3789 0.1894 0.7843  1 Zn 1.86
5 N 0.6211 0.8106 0.2157  1 Zn 1.86

---

No. 8
DFT (PBE-GGA) results for a geometry-optimized ZnCd2N2 structure.

Results
space group	I4/mmm
energy of formation	0.33	eV/atom
volume	76.2	Å³/cell

Unit cell a=3.4352 b=3.4355 c=6.9005 alpha=104.41 beta=104.41 gamma=90.00
Last column: nearest neighbours and their distance in Å.
Sites, in units of the cell vectors:
1 Zn 0.5000 0.5000 0.5000  2 N 1.86
2 Cd 0.8349 0.8349 0.1698  5 N 2.44-2.46
3 Cd 0.1651 0.1651 0.8302  5 N 2.44-2.46
4 N 0.3559 0.3559 0.2118  1 Zn 1.86
5 N 0.6441 0.6441 0.7882  1 Zn 1.86

---

No. 9
DFT (PBE-GGA) results for a geometry-optimized ZrCd4N4 structure.

Results
space group	P-1
energy of formation	-0.09	eV/atom
volume	289.7	Å³/cell

Unit cell a=6.0616 b=6.0323 c=9.1425 alpha=68.99 beta=85.71 gamma=68.49
Last column: nearest neighbours and their distance in Å.
Sites, in units of the cell vectors:
1 Zr 0.7214 0.8384 0.7752  4 N 2.08-2.17
2 Zr 0.2786 0.1616 0.2248  4 N 2.08-2.17
3 Cd 0.7128 0.6325 0.1951  3 N 2.19-2.41
4 Cd 0.2872 0.3675 0.8049  3 N 2.19-2.41
5 Cd 0.7591 0.2304 0.0000  4 N 2.27-2.54
6 Cd 0.2409 0.7696 0.0000  4 N 2.27-2.54
7 Cd 0.7554 0.4740 0.5724  4 N 2.29-2.54
8 Cd 0.2446 0.5260 0.4276  4 N 2.29-2.54
9 Cd 0.2535 0.9216 0.5859  4 N 2.27-2.50
10 Cd 0.7465 0.0784 0.4141  4 N 2.27-2.50
11 N 0.9664 0.7023 0.6138  1 Zr 2.17, 2 Cd 2.33
12 N 0.0336 0.2977 0.3862  1 Zr 2.17, 2 Cd 2.33
13 N 0.8490 0.8364 0.9815  1 Zr 2.09, 3 Cd 2.19-2.30
14 N 0.1510 0.1636 0.0185  1 Zr 2.09, 3 Cd 2.19-2.30
15 N 0.4778 0.6511 0.8116  1 Zr 2.11, 2 Cd 2.27-2.30
16 N 0.5222 0.3489 0.1884  1 Zr 2.11, 2 Cd 2.27-2.30
17 N 0.4603 0.7852 0.3691  1 Zr 2.08, 2 Cd 2.29-2.32
18 N 0.5397 0.2148 0.6309  1 Zr 2.08, 2 Cd 2.29-2.32

---

No. 10
DFT (PBE-GGA) results for a geometry-optimized ZrCdN2 structure.

Results
space group	P4/nmm
energy of formation	-0.69	eV/atom
volume	127.0	Å³/cell

Unit cell a=3.8690 b=3.8690 c=8.4865 alpha=90.00 beta=90.00 gamma=90.00
Last column: nearest neighbours and their distance in Å.
Sites, in units of the cell vectors:
1 Zr 0.7500 0.7500 0.6076  5 N 2.09-2.14
2 Zr 0.2500 0.2500 0.3924  5 N 2.09-2.14
3 Cd 0.7500 0.7500 0.1156  1 N 2.22
4 Cd 0.2500 0.2500 0.8844  1 N 2.22
5 N 0.7500 0.2500 0.5000  4 Zr 2.14
6 N 0.2500 0.7500 0.5000  4 Zr 2.14
7 N 0.7500 0.7500 0.8537  1 Zr 2.09, 1 Cd 2.22
8 N 0.2500 0.2500 0.1463  1 Zr 2.09, 1 Cd 2.22

---

No. 11
DFT (PBE-GGA) results for a geometry-optimized Na3Cd structure.

Results
space group	P6_3/mmc
energy of formation	-0.04	eV/atom
volume	244.7	Å³/cell

Unit cell a=7.0609 b=7.0609 c=5.6685 alpha=90.00 beta=90.00 gamma=120.00
Last column: nearest neighbours and their distance in Å.
Sites, in units of the cell vectors:
1 Na 0.1713 0.3426 0.2500  8 Na 3.43-3.63, 4 Cd 3.46-3.53
2 Na 0.6574 0.8287 0.2500  8 Na 3.43-3.63, 4 Cd 3.46-3.53
3 Na 0.1713 0.8287 0.2500  8 Na 3.43-3.63, 4 Cd 3.46-3.53
4 Na 0.8287 0.6574 0.7500  8 Na 3.43-3.63, 4 Cd 3.46-3.53
5 Na 0.3426 0.1713 0.7500  8 Na 3.43-3.63, 4 Cd 3.46-3.53
6 Na 0.8287 0.1713 0.7500  8 Na 3.43-3.63, 4 Cd 3.46-3.53
7 Cd 0.3333 0.6667 0.7500  12 Na 3.46-3.53
8 Cd 0.6667 0.3333 0.2500  12 Na 3.46-3.53

---

No. 12
DFT (PBE-GGA) results for a geometry-optimized Na3Cd structure.

Results
space group	Fm-3m
energy of formation	-0.03	eV/atom
volume	121.8	Å³/cell

Unit cell a=5.5646 b=5.5646 c=5.5646 alpha=60.00 beta=60.00 gamma=60.00
Last column: nearest neighbours and their distance in Å.
Sites, in units of the cell vectors:
1 Na 0.2500 0.2500 0.2500  4 Na 3.41, 4 Cd 3.41
2 Na 0.7500 0.7500 0.7500  4 Na 3.41, 4 Cd 3.41
3 Na 0.5000 0.5000 0.5000  8 Na 3.41
4 Cd 0.0000 0.0000 0.0000  8 Na 3.41